No. 1
Al2FeRh after structural relaxation. Source: the Materials Project, functional PBE.

abc: 4.164 4.164 4.164
angles: 60.00 60.00 60.00
Positions (direct):
1 Al 0.750 0.750 0.750
2 Al 0.250 0.250 0.250
3 Fe 0.500 0.500 0.500
4 Rh 0.000 0.000 0.000

- E_tot (eV per cell) = -26.11
- space group = Fm-3m

***

No. 2
TbAgHg2 after structural relaxation. Source: the Materials Project, functional PBE.

abc: 5.039 5.039 5.039
angles: 60.00 60.00 60.00
Positions (direct):
1 Tb 0.000 0.000 0.000
2 Ag 0.500 0.500 0.500
3 Hg 0.250 0.250 0.250
4 Hg 0.750 0.750 0.750

- E_tot (eV per cell) = -9.46
- space group = Fm-3m

***

No. 3
KO2 after structural relaxation. Source: the Materials Project, functional PBE.

abc: 5.673 5.513 8.223
angles: 54.14 90.00 90.00
Positions (direct):
1 K 0.752 0.742 0.550
2 K 0.252 0.258 0.950
3 K 0.248 0.258 0.450
4 K 0.748 0.742 0.050
5 O 0.254 0.664 0.548
6 O 0.754 0.336 0.952
7 O 0.746 0.336 0.452
8 O 0.246 0.664 0.048
9 O 0.691 0.165 0.650
10 O 0.191 0.835 0.850
11 O 0.309 0.835 0.350
12 O 0.809 0.165 0.150

- E_tot (eV per cell) = -54.33
- space group = P2_1/c

***

No. 4
InS after structural relaxation. Source: the Materials Project, functional PBE.

abc: 4.010 4.754 10.725
angles: 90.00 90.00 90.00
Positions (direct):
1 In 0.500 0.374 0.620
2 In 0.500 0.626 0.380
3 In 0.000 0.874 0.880
4 In 0.000 0.126 0.120
5 S 0.500 0.540 0.846
6 S 0.500 0.460 0.154
7 S 0.000 0.040 0.654
8 S 0.000 0.960 0.346

- E_tot (eV per cell) = -31.48
- space group = Pnnm

***

No. 5
Rb6Si10O23 after structural relaxation. Source: the Materials Project, functional PBE.

abc: 9.599 9.599 8.243
angles: 90.00 90.00 120.80
Positions (direct):
1 Rb 0.017 0.262 0.500
2 Rb 0.782 0.782 0.500
3 Rb 0.262 0.017 0.500
4 Rb 0.774 0.774 0.000
5 Rb 0.019 0.256 0.000
6 Rb 0.256 0.019 0.000
7 Si 0.417 0.417 0.696
8 Si 0.699 0.359 0.188
9 Si 0.628 0.028 0.691
10 Si 0.028 0.628 0.691
11 Si 0.359 0.699 0.812
12 Si 0.417 0.417 0.304
13 Si 0.699 0.359 0.812
14 Si 0.028 0.628 0.309
15 Si 0.628 0.028 0.309
16 Si 0.359 0.699 0.188
17 O 0.443 0.862 0.300
18 O 0.434 0.585 0.227
19 O 0.434 0.585 0.773
20 O 0.598 0.163 0.212
21 O 0.598 0.163 0.788
22 O 0.254 0.254 0.735
23 O 0.774 0.010 0.753
24 O 0.443 0.862 0.700
25 O 0.585 0.434 0.773
26 O 0.163 0.598 0.788
27 O 0.644 0.086 0.500
28 O 0.458 0.458 0.500
29 O 0.585 0.434 0.227
30 O 0.862 0.443 0.300
31 O 0.254 0.254 0.265
32 O 0.010 0.774 0.753
33 O 0.010 0.774 0.247
34 O 0.401 0.761 0.000
35 O 0.862 0.443 0.700
36 O 0.774 0.010 0.247
37 O 0.086 0.644 0.500
38 O 0.761 0.401 0.000
39 O 0.163 0.598 0.212

- E_tot (eV per cell) = -275.66
- space group = Amm2

***

No. 6
CdPd3 after structural relaxation. Source: the Materials Project, functional PBE.

abc: 4.041 4.041 4.041
angles: 90.00 90.00 90.00
Positions (direct):
1 Cd 0.000 0.000 0.000
2 Pd 0.000 0.500 0.500
3 Pd 0.500 0.000 0.500
4 Pd 0.500 0.500 0.000

- E_tot (eV per cell) = -17.46
- space group = Pm-3m

***

No. 7
Dy3Ge13Ir4 after structural relaxation. Source: the Materials Project, functional PBE.

abc: 9.064 9.064 9.064
angles: 90.00 90.00 90.00
Positions (direct):
1 Dy 0.000 0.500 0.750
2 Dy 0.500 0.250 0.000
3 Dy 0.750 0.000 0.500
4 Dy 0.000 0.500 0.250
5 Dy 0.500 0.750 0.000
6 Dy 0.250 0.000 0.500
7 Ge 0.500 0.500 0.500
8 Ge 0.000 0.000 0.000
9 Ge 0.809 0.354 0.500
10 Ge 0.646 0.500 0.809
11 Ge 0.500 0.191 0.646
12 Ge 0.191 0.646 0.500
13 Ge 0.354 0.500 0.191
14 Ge 0.500 0.809 0.354
15 Ge 0.809 0.646 0.500
16 Ge 0.646 0.500 0.191
17 Ge 0.191 0.354 0.500
18 Ge 0.354 0.500 0.809
19 Ge 0.500 0.809 0.646
20 Ge 0.500 0.191 0.354
21 Ge 0.309 0.000 0.854
22 Ge 0.146 0.309 0.000
23 Ge 0.000 0.146 0.691
24 Ge 0.691 0.000 0.146
25 Ge 0.854 0.691 0.000
26 Ge 0.000 0.854 0.309
27 Ge 0.309 0.000 0.146
28 Ge 0.146 0.691 0.000
29 Ge 0.691 0.000 0.854
30 Ge 0.854 0.309 0.000
31 Ge 0.000 0.146 0.309
32 Ge 0.000 0.854 0.691
33 Ir 0.750 0.250 0.750
34 Ir 0.250 0.750 0.250
35 Ir 0.750 0.750 0.250
36 Ir 0.250 0.250 0.750
37 Ir 0.250 0.750 0.750
38 Ir 0.750 0.250 0.250
39 Ir 0.250 0.250 0.250
40 Ir 0.750 0.750 0.750

- E_tot (eV per cell) = -239.20
- space group = Pm-3n

***

No. 8
Cr3Mo2C4 after structural relaxation. Source: the Materials Project, functional PBE.

abc: 11.834 11.834 11.834
angles: 14.41 14.41 14.41
Positions (direct):
1 Cr 0.005 0.005 0.005
2 Cr 0.398 0.398 0.398
3 Cr 0.798 0.798 0.798
4 Mo 0.199 0.199 0.199
5 Mo 0.606 0.606 0.606
6 C 0.696 0.696 0.696
7 C 0.097 0.097 0.097
8 C 0.496 0.496 0.496
9 C 0.905 0.905 0.905

- E_tot (eV per cell) = -86.51
- space group = R3m

***

Values of mass density, in order: 6.92 12.26 2.27 4.77 2.96 10.86 9.81 7.36, all in g/cm³.
Values of formation energy from the elements, in order: -697 -346 -966 -743 -3013 -250 -516 117, all in meV per atom.